1.
Below is CdAg after structural relaxation, with properties calculated at the PBE level.

Calculated values
Calculated total energy ... -1.921 eV per atom
Formation energy ... -0.1 eV/f.u.

```
data_CdAg
_chemical_formula_sum 'Cd2 Ag2'
_cell_length_a 4.8057
_cell_length_b 2.9857
_cell_length_c 5.4870
_cell_angle_alpha 90.00
_cell_angle_beta 90.00
_cell_angle_gamma 90.00
_symmetry_space_group_name_H-M 'A m m 2'
_symmetry_Int_Tables_number 38
_symmetry_space_group_name_Hall 'A 2 -2'
loop_
_atom_site_label
_atom_site_type_symbol
_atom_site_fract_x
_atom_site_fract_y
_atom_site_fract_z
Cd1 Cd 0.0000 0.0000 0.0000
Ag1 Ag 0.5000 0.0000 0.6703
```

2.
Below is Rb2Pt3S4 after structural relaxation, with properties calculated at the PBE level.

Calculated values
Energy above the lowest structure with this stoichiometry ... 13 meV per atom
Calculated total energy ... -4.782 eV per atom
Formation energy ... -8.3 eV/f.u.

```
data_Rb2Pt3S4
_chemical_formula_sum 'Rb2 Pt3 S4'
_cell_length_a 6.3966
_cell_length_b 6.3966
_cell_length_c 7.4148
_cell_angle_alpha 102.90
_cell_angle_beta 102.90
_cell_angle_gamma 118.85
_symmetry_space_group_name_H-M 'P 1'
_symmetry_Int_Tables_number 1
_symmetry_space_group_name_Hall 'P 1'
loop_
_atom_site_label
_atom_site_type_symbol
_atom_site_fract_x
_atom_site_fract_y
_atom_site_fract_z
Rb1 Rb 0.0000 0.0000 0.0000
Rb2 Rb 0.3038 0.3007 0.5986
Pt1 Pt 0.1495 0.6464 0.3050
Pt2 Pt 0.6373 0.1403 0.2960
Pt3 Pt 0.6376 0.6379 0.2920
S1 S 0.3692 0.7075 0.0742
S2 S 0.5978 0.9295 0.5212
S3 S 0.6985 0.3563 0.0779
S4 S 0.9182 0.5803 0.5125
```

- calculated total energy of number 2 (Rb2Pt3S4)?
  -4.782 eV per atom

- Look up the formation energy of the second one.
  -8.3 eV/f.u.

- Which of these has the highest calculated total energy?
  CdAg